Entry 1:
This record from Materials Project describes a relaxed UI4 crystal. The functional is meta-GGA r2SCAN.

Summary:
Total DFT energy (no corrections), eV per atom: -36.67

Lattice parameters (Å, degrees): 7.702 8.373 8.388 62.37 89.40 89.50
Positions (direct):
U 0.250 0.145 0.355
U 0.750 0.855 0.645
I 0.080 0.004 0.735
I 0.105 0.496 0.256
I 0.394 0.241 0.004
I 0.419 0.764 0.499
I 0.581 0.236 0.501
I 0.606 0.759 0.996
I 0.895 0.504 0.744
I 0.920 0.996 0.265

Entry 2:
This record from Materials Project describes a relaxed SiO2 crystal. The functional is meta-GGA r2SCAN.

Summary:
Total DFT energy (no corrections), eV per atom: -9.94

Lattice parameters (Å, degrees): 5.061 5.061 5.541 90.00 90.00 120.00
Positions (direct):
Si 0.000 0.500 0.333
Si 0.500 0.000 0.000
Si 0.500 0.500 0.667
O 0.209 0.417 0.500
O 0.209 0.791 0.167
O 0.417 0.209 0.833
O 0.583 0.791 0.833
O 0.791 0.209 0.167
O 0.791 0.583 0.500